This record from the Materials Project describes a geometry-optimized CaFe2O4 structure. The functional is GGA+U.

```
CaFe2O4
1.0
-3.1322 3.1331 4.4311
3.1322 -3.1331 4.4311
3.1322 3.1331 -4.4311
Ca Fe O
2 4 8
direct
0.5000 0.0000 0.0000 Ca
0.5000 0.5000 0.5000 Ca
0.0000 0.0000 0.0000 Fe
0.1111 0.3611 0.7500 Fe
0.5000 0.0000 0.5000 Fe
0.8889 0.6389 0.2500 Fe
0.2189 0.2284 0.9905 O
0.2402 0.2249 0.4847 O
0.2402 0.7555 0.0153 O
0.2621 0.7716 0.4905 O
0.7379 0.2284 0.5095 O
0.7598 0.2445 0.9847 O
0.7598 0.7751 0.5153 O
0.7811 0.7716 0.0095 O
```

Summary:
Energy with MP2020 corrections (eV/atom): -7.580
E_form (eV/f.u.): -14.325
ρ (Mg/m³): 4.12
Calculated total energy (eV/atom): -6.543
E above lowest polymorph (eV per atom): 0.130
Space group: Imma, No. 74